[1]
This record from Materials Project describes a geometry-optimized YBN2 structure. The functional is PBE.

Lattice parameters (Å, degrees): 3.0703 4.7947 3.0703 90.00 90.00 90.00
Fractional coordinates of all 4 atoms:
N  0.0000  0.3297  0.5000
Y  0.0000  0.0000  0.0000
B  0.5000  0.5000  0.5000
N  0.5000  0.6703  0.0000

Computed properties:
Space-group type: P-4m2
Calculated formation energy in eV/atom: -0.454
Total moment in μB/f.u.: 0.0
V in A^3/atom: 11.30
Calculated total energy in eV/atom: -7.728



[2]
This record from Materials Project describes a geometry-optimized Zr4BN3 structure. The functional is PBE.

Lattice parameters (Å, degrees): 4.6802 4.6802 4.6802 90.00 90.00 90.00
Fractional coordinates of all 8 atoms:
Zr  0.0000  0.5000  0.0000
Zr  0.5000  0.5000  0.5000
Zr  0.0000  0.0000  0.5000
N  0.5000  0.0000  0.5000
B  0.0000  0.0000  0.0000
N  0.5000  0.5000  0.0000
Zr  0.5000  0.0000  0.0000
N  0.0000  0.5000  0.5000

Computed properties:
Space-group type: Pm-3m
Calculated formation energy in eV/atom: -1.581
V in A^3/atom: 12.81
Calculated total energy in eV/atom: -9.681